1.
Computed, not measured: an optimized crystal structure of AgBF4 at the PBE level of DFT.

a b c (Å): 8.201 5.473 6.921
angles (deg): 90.00 90.00 90.00
Atoms (fractional coordinates):
Ag (0.180, 0.250, 0.170)
Ag (0.320, 0.750, 0.670)
Ag (0.680, 0.250, 0.330)
Ag (0.820, 0.750, 0.830)
B (0.061, 0.250, 0.682)
B (0.439, 0.750, 0.182)
B (0.561, 0.250, 0.818)
B (0.939, 0.750, 0.318)
F (0.073, 0.038, 0.802)
F (0.073, 0.462, 0.802)
F (0.091, 0.750, 0.413)
F (0.191, 0.250, 0.548)
F (0.309, 0.750, 0.048)
F (0.409, 0.250, 0.913)
F (0.427, 0.538, 0.302)
F (0.427, 0.962, 0.302)
F (0.573, 0.038, 0.698)
F (0.573, 0.462, 0.698)
F (0.591, 0.750, 0.087)
F (0.691, 0.250, 0.952)
F (0.809, 0.750, 0.452)
F (0.909, 0.250, 0.587)
F (0.927, 0.538, 0.198)
F (0.927, 0.962, 0.198)

Properties
Total DFT energy (no corrections): -5.131 eV/atom
Crystal system: orthorhombic
SG: No. 62

***

2.
Computed, not measured: an optimized crystal structure of NaFeAs at the PBE level of DFT.

a b c (Å): 7.500 7.500 3.973
angles (deg): 90.00 90.00 150.27
Atoms (fractional coordinates):
Na (0.087, 0.913, 0.750)
Na (0.913, 0.087, 0.250)
Fe (0.251, 0.749, 0.250)
Fe (0.749, 0.251, 0.750)
As (0.338, 0.662, 0.750)
As (0.662, 0.338, 0.250)

Properties
Total DFT energy (no corrections): -5.043 eV/atom
Crystal system: orthorhombic
Offset from the most stable computed form: 52.5 meV per atom
SG: No. 63

***

3.
Computed, not measured: an optimized crystal structure of Mg16Al12Tl at the PBE level of DFT.

a b c (Å): 9.077 9.077 9.141
angles (deg): 108.99 108.99 108.71
Atoms (fractional coordinates):
Mg (0.000, 0.000, 0.000)
Mg (0.000, 0.000, 0.344)
Mg (0.002, 0.653, 0.351)
Mg (0.002, 0.686, 0.743)
Mg (0.286, 0.599, 0.945)
Mg (0.311, 0.311, 0.053)
Mg (0.316, 0.711, 0.661)
Mg (0.336, 0.336, 0.677)
Mg (0.394, 0.678, 0.340)
Mg (0.397, 0.996, 0.026)
Mg (0.599, 0.286, 0.945)
Mg (0.653, 0.002, 0.351)
Mg (0.678, 0.394, 0.340)
Mg (0.686, 0.002, 0.743)
Mg (0.711, 0.316, 0.661)
Mg (0.996, 0.397, 0.026)
Al (0.173, 0.357, 0.334)
Al (0.179, 0.811, 0.158)
Al (0.186, 0.999, 0.711)
Al (0.357, 0.173, 0.334)
Al (0.367, 0.997, 0.527)
Al (0.632, 0.632, 0.168)
Al (0.636, 0.824, 0.991)
Al (0.811, 0.179, 0.158)
Al (0.822, 0.822, 0.522)
Al (0.824, 0.636, 0.991)
Al (0.997, 0.367, 0.527)
Al (0.999, 0.186, 0.711)
Tl (0.606, 0.606, 0.634)

Properties
Total DFT energy (no corrections): -2.529 eV/atom
Crystal system: monoclinic
Offset from the most stable computed form: 1.2 meV per atom
SG: No. 8

***

4.
Computed, not measured: an optimized crystal structure of LaBiSe2O at the PBE level of DFT.

a b c (Å): 4.154 4.154 14.844
angles (deg): 90.00 90.00 90.00
Atoms (fractional coordinates):
La (0.250, 0.250, 0.082)
La (0.750, 0.750, 0.918)
Bi (0.250, 0.250, 0.633)
Bi (0.750, 0.750, 0.367)
Se (0.250, 0.250, 0.393)
Se (0.250, 0.250, 0.812)
Se (0.750, 0.750, 0.188)
Se (0.750, 0.750, 0.607)
O (0.250, 0.750, 0.000)
O (0.750, 0.250, 0.000)

Properties
Total DFT energy (no corrections): -5.890 eV/atom
Crystal system: tetragonal
SG: No. 129

***

| no. | density (g/cm³) |
| --- | --- |
| 1 | 4.16 |
| 2 | 4.61 |
| 3 | 2.57 |
| 4 | 6.77 |